1.
DFT (PBE) results for a geometry-optimized PrSb3 structure.

Computed properties:
Volume in Å³/atom: 28.485
ΔE_f in eV/atom: -0.630
Total energy after the MP2020 corrections in eV for the cell shown: -19.7

Cell and atoms, written as CIF:
```
data_PrSb3
_chemical_formula_sum 'Pr1 Sb3'
_cell_length_a 4.848
_cell_length_b 4.848
_cell_length_c 4.848
_cell_angle_alpha 90.00
_cell_angle_beta 90.00
_cell_angle_gamma 90.00
_space_group_name_H-M_alt 'P 1'
_space_group_IT_number 1
loop_
_space_group_symop_operation_xyz
'x,y,z'
loop_
_atom_site_label
_atom_site_type_symbol
_atom_site_fract_x
_atom_site_fract_y
_atom_site_fract_z
Sb1 Sb 0.000 0.500 0.500
Pr1 Pr 0.000 0.000 0.000
Sb2 Sb 0.500 0.500 0.000
Sb3 Sb 0.500 0.000 0.500
```

2.
DFT (PBE) results for a geometry-optimized PrSbSe structure.

Computed properties:
Volume in Å³/atom: 27.936
ΔE_f in eV/atom: -1.553
Total energy after the MP2020 corrections in eV for the cell shown: -68.3

Cell and atoms, written as CIF:
```
data_PrSbSe
_chemical_formula_sum 'Pr4 Sb4 Se4'
_cell_length_a 4.248
_cell_length_b 4.268
_cell_length_c 18.493
_cell_angle_alpha 90.00
_cell_angle_beta 90.00
_cell_angle_gamma 89.94
_space_group_name_H-M_alt 'P 1'
_space_group_IT_number 1
loop_
_space_group_symop_operation_xyz
'x,y,z'
loop_
_atom_site_label
_atom_site_type_symbol
_atom_site_fract_x
_atom_site_fract_y
_atom_site_fract_z
Sb1 Sb 0.252 0.772 0.502
Se1 Se 0.257 0.266 0.814
Pr1 Pr 0.745 0.731 0.353
Pr2 Pr 0.255 0.269 0.647
Sb2 Sb 0.248 0.728 0.002
Pr3 Pr 0.755 0.769 0.853
Pr4 Pr 0.245 0.231 0.147
Se2 Se 0.743 0.734 0.186
Se3 Se 0.757 0.766 0.686
Sb3 Sb 0.752 0.272 0.998
Se4 Se 0.243 0.234 0.314
Sb4 Sb 0.748 0.228 0.498
```

3.
DFT (PBE) results for a geometry-optimized PrSbTe structure.

Computed properties:
Volume in Å³/atom: 30.815
ΔE_f in eV/atom: -1.328
Total energy after the MP2020 corrections in eV for the cell shown: -32.1

Cell and atoms, written as CIF:
```
data_PrSbTe
_chemical_formula_sum 'Pr2 Sb2 Te2'
_cell_length_a 4.376
_cell_length_b 4.376
_cell_length_c 9.657
_cell_angle_alpha 90.00
_cell_angle_beta 90.00
_cell_angle_gamma 90.00
_space_group_name_H-M_alt 'P 1'
_space_group_IT_number 1
loop_
_space_group_symop_operation_xyz
'x,y,z'
loop_
_atom_site_label
_atom_site_type_symbol
_atom_site_fract_x
_atom_site_fract_y
_atom_site_fract_z
Pr1 Pr 0.000 0.500 0.726
Te1 Te 0.500 0.000 0.624
Sb1 Sb 0.000 0.000 0.000
Te2 Te 0.000 0.500 0.376
Pr2 Pr 0.500 0.000 0.274
Sb2 Sb 0.500 0.500 0.000
```

4.
DFT (PBE) results for a geometry-optimized Pr3TiSb5 structure.

Computed properties:
Volume in Å³/atom: 27.231
ΔE_f in eV/atom: -1.018
Total energy after the MP2020 corrections in eV for the cell shown: -104.1

Cell and atoms, written as CIF:
```
data_Pr3TiSb5
_chemical_formula_sum 'Pr6 Ti2 Sb10'
_cell_length_a 9.472
_cell_length_b 9.472
_cell_length_c 6.309
_cell_angle_alpha 90.00
_cell_angle_beta 90.00
_cell_angle_gamma 120.00
_space_group_name_H-M_alt 'P 1'
_space_group_IT_number 1
loop_
_space_group_symop_operation_xyz
'x,y,z'
loop_
_atom_site_label
_atom_site_type_symbol
_atom_site_fract_x
_atom_site_fract_y
_atom_site_fract_z
Sb1 Sb 0.747 0.747 0.250
Sb2 Sb 0.253 0.000 0.250
Sb3 Sb 0.000 0.747 0.750
Sb4 Sb 0.667 0.333 0.500
Pr1 Pr 0.000 0.617 0.250
Ti1 Ti 0.000 0.000 0.000
Pr2 Pr 0.383 0.000 0.750
Sb5 Sb 0.333 0.667 0.500
Pr3 Pr 0.383 0.383 0.250
Pr4 Pr 0.617 0.617 0.750
Sb6 Sb 0.747 0.000 0.750
Sb7 Sb 0.333 0.667 0.000
Sb8 Sb 0.000 0.253 0.250
Pr5 Pr 0.617 0.000 0.250
Pr6 Pr 0.000 0.383 0.750
Sb9 Sb 0.253 0.253 0.750
Sb10 Sb 0.667 0.333 0.000
Ti2 Ti 0.000 0.000 0.500
```

5.
DFT (PBE) results for a geometry-optimized Pr3ZrSb5 structure.

Computed properties:
Volume in Å³/atom: 28.099
ΔE_f in eV/atom: -1.075
Total energy after the MP2020 corrections in eV for the cell shown: -106.4

Cell and atoms, written as CIF:
```
data_Pr3ZrSb5
_chemical_formula_sum 'Pr6 Zr2 Sb10'
_cell_length_a 9.558
_cell_length_b 9.558
_cell_length_c 6.393
_cell_angle_alpha 90.00
_cell_angle_beta 90.00
_cell_angle_gamma 120.00
_space_group_name_H-M_alt 'P 1'
_space_group_IT_number 1
loop_
_space_group_symop_operation_xyz
'x,y,z'
loop_
_atom_site_label
_atom_site_type_symbol
_atom_site_fract_x
_atom_site_fract_y
_atom_site_fract_z
Sb1 Sb 0.263 0.263 0.250
Sb2 Sb 0.000 0.737 0.250
Sb3 Sb 0.263 0.000 0.750
Sb4 Sb 0.000 0.263 0.750
Pr1 Pr 0.382 0.000 0.250
Pr2 Pr 0.382 0.382 0.750
Sb5 Sb 0.333 0.667 0.000
Pr3 Pr 0.618 0.000 0.750
Zr1 Zr 0.000 0.000 0.500
Pr4 Pr 0.000 0.382 0.250
Pr5 Pr 0.000 0.618 0.750
Sb6 Sb 0.667 0.333 0.500
Sb7 Sb 0.737 0.737 0.750
Zr2 Zr 0.000 0.000 0.000
Pr6 Pr 0.618 0.618 0.250
Sb8 Sb 0.667 0.333 0.000
Sb9 Sb 0.737 0.000 0.250
Sb10 Sb 0.333 0.667 0.500
```

6.
DFT (PBE) results for a geometry-optimized Pr3Sc structure.

Computed properties:
Volume in Å³/atom: 33.715
ΔE_f in eV/atom: 0.051

Cell and atoms, written as CIF:
```
data_Pr3Sc
_chemical_formula_sum 'Pr3 Sc1'
_cell_length_a 6.281
_cell_length_b 6.281
_cell_length_c 6.281
_cell_angle_alpha 131.82
_cell_angle_beta 131.82
_cell_angle_gamma 70.52
_space_group_name_H-M_alt 'P 1'
_space_group_IT_number 1
loop_
_space_group_symop_operation_xyz
'x,y,z'
loop_
_atom_site_label
_atom_site_type_symbol
_atom_site_fract_x
_atom_site_fract_y
_atom_site_fract_z
Pr1 Pr 0.750 0.250 0.500
Sc1 Sc 0.000 0.000 0.000
Pr2 Pr 0.250 0.750 0.500
Pr3 Pr 0.500 0.500 0.000
```

7.
DFT (PBE) results for a geometry-optimized Pr3Sc structure.

Computed properties:
Volume in Å³/atom: 33.406
ΔE_f in eV/atom: 0.053

Cell and atoms, written as CIF:
```
data_Pr3Sc
_chemical_formula_sum 'Pr6 Sc2'
_cell_length_a 7.248
_cell_length_b 7.248
_cell_length_c 5.875
_cell_angle_alpha 90.00
_cell_angle_beta 90.00
_cell_angle_gamma 120.00
_space_group_name_H-M_alt 'P 1'
_space_group_IT_number 1
loop_
_space_group_symop_operation_xyz
'x,y,z'
loop_
_atom_site_label
_atom_site_type_symbol
_atom_site_fract_x
_atom_site_fract_y
_atom_site_fract_z
Pr1 Pr 0.342 0.171 0.750
Sc1 Sc 0.333 0.667 0.750
Pr2 Pr 0.171 0.829 0.250
Pr3 Pr 0.829 0.658 0.750
Pr4 Pr 0.658 0.829 0.250
Pr5 Pr 0.171 0.342 0.250
Pr6 Pr 0.829 0.171 0.750
Sc2 Sc 0.667 0.333 0.250
```

8.
DFT (PBE) results for a geometry-optimized Pr2Sc3Si4 structure.

Computed properties:
Volume in Å³/atom: 21.681
ΔE_f in eV/atom: -0.763
Total energy after the MP2020 corrections in eV for the cell shown: -228.5

Cell and atoms, written as CIF:
```
data_Pr2Sc3Si4
_chemical_formula_sum 'Pr8 Sc12 Si16'
_cell_length_a 7.251
_cell_length_b 7.550
_cell_length_c 14.256
_cell_angle_alpha 90.00
_cell_angle_beta 90.00
_cell_angle_gamma 90.00
_space_group_name_H-M_alt 'P 1'
_space_group_IT_number 1
loop_
_space_group_symop_operation_xyz
'x,y,z'
loop_
_atom_site_label
_atom_site_type_symbol
_atom_site_fract_x
_atom_site_fract_y
_atom_site_fract_z
Si1 Si 0.787 0.617 0.750
Sc1 Sc 0.171 0.676 0.375
Sc2 Sc 0.671 0.824 0.375
Si2 Si 0.535 0.375 0.750
Sc3 Sc 0.829 0.324 0.625
Sc4 Sc 0.662 0.000 0.750
Si3 Si 0.713 0.117 0.250
Si4 Si 0.287 0.883 0.750
Pr1 Pr 0.512 0.328 0.098
Sc5 Sc 0.671 0.824 0.125
Sc6 Sc 0.829 0.324 0.875
Pr2 Pr 0.512 0.328 0.402
Si5 Si 0.651 0.037 0.540
Sc7 Sc 0.329 0.176 0.875
Pr3 Pr 0.988 0.828 0.902
Sc8 Sc 0.329 0.176 0.625
Pr4 Pr 0.488 0.672 0.902
Si6 Si 0.849 0.537 0.460
Si7 Si 0.349 0.963 0.040
Pr5 Pr 0.012 0.172 0.098
Si8 Si 0.213 0.383 0.250
Si9 Si 0.965 0.875 0.250
Sc9 Sc 0.171 0.676 0.125
Pr6 Pr 0.988 0.828 0.598
Sc10 Sc 0.338 0.000 0.250
Pr7 Pr 0.012 0.172 0.402
Si10 Si 0.035 0.125 0.750
Si11 Si 0.349 0.963 0.460
Sc11 Sc 0.838 0.500 0.250
Si12 Si 0.651 0.037 0.960
Pr8 Pr 0.488 0.672 0.598
Sc12 Sc 0.162 0.500 0.750
Si13 Si 0.151 0.463 0.960
Si14 Si 0.849 0.537 0.040
Si15 Si 0.465 0.625 0.250
Si16 Si 0.151 0.463 0.540
```

9.
DFT (PBE) results for a geometry-optimized Pr2Se3 structure.

Computed properties:
Volume in Å³/atom: 27.390
ΔE_f in eV/atom: -2.169
Total energy after the MP2020 corrections in eV for the cell shown: -247.2

Cell and atoms, written as CIF:
```
data_Pr2Se3
_chemical_formula_sum 'Pr16 Se24'
_cell_length_a 14.926
_cell_length_b 14.926
_cell_length_c 14.926
_cell_angle_alpha 144.87
_cell_angle_beta 144.87
_cell_angle_gamma 50.53
_space_group_name_H-M_alt 'P 1'
_space_group_IT_number 1
loop_
_space_group_symop_operation_xyz
'x,y,z'
loop_
_atom_site_label
_atom_site_type_symbol
_atom_site_fract_x
_atom_site_fract_y
_atom_site_fract_z
Pr1 Pr 0.532 0.156 0.109
Pr2 Pr 0.583 0.083 0.500
Pr3 Pr 0.047 0.424 0.891
Pr4 Pr 0.218 0.826 0.124
Se1 Se 0.563 0.815 0.909
Se2 Se 0.241 0.994 0.101
Pr5 Pr 0.576 0.468 0.624
Se3 Se 0.576 0.323 0.105
Pr6 Pr 0.167 0.167 0.000
Pr7 Pr 0.174 0.297 0.391
Se4 Se 0.174 0.780 0.247
Se5 Se 0.509 0.110 0.253
Se6 Se 0.185 0.094 0.748
Se7 Se 0.565 0.813 0.409
Pr8 Pr 0.844 0.953 0.376
Se8 Se 0.217 0.470 0.895
Se9 Se 0.347 0.437 0.252
Pr9 Pr 0.833 0.833 0.000
Se10 Se 0.857 0.256 0.747
Pr10 Pr 0.875 0.505 0.130
Se11 Se 0.403 0.156 0.591
Se12 Se 0.744 0.491 0.601
Se13 Se 0.860 0.759 0.753
Se14 Se 0.220 0.467 0.395
Pr11 Pr 0.703 0.094 0.876
Se15 Se 0.533 0.927 0.753
Pr12 Pr 0.255 0.125 0.630
Pr13 Pr 0.495 0.625 0.370
Se16 Se 0.677 0.783 0.253
Se17 Se 0.006 0.107 0.247
Se18 Se 0.844 0.435 0.248
Se19 Se 0.187 0.597 0.752
Se20 Se 0.906 0.653 0.091
Se21 Se 0.073 0.826 0.605
Pr14 Pr 0.917 0.417 0.500
Se22 Se 0.530 0.424 0.747
Se23 Se 0.890 0.143 0.399
Se24 Se 0.893 0.140 0.899
Pr15 Pr 0.906 0.782 0.609
Pr16 Pr 0.375 0.745 0.870
```

10.
DFT (PBE) results for a geometry-optimized Pr10Se19 structure.

Computed properties:
Volume in Å³/atom: 26.167
ΔE_f in eV/atom: -1.994
Total energy after the MP2020 corrections in eV for the cell shown: -344.1

Cell and atoms, written as CIF:
```
data_Pr10Se19
_chemical_formula_sum 'Pr20 Se38'
_cell_length_a 9.400
_cell_length_b 9.400
_cell_length_c 17.178
_cell_angle_alpha 90.00
_cell_angle_beta 90.00
_cell_angle_gamma 90.00
_space_group_name_H-M_alt 'P 1'
_space_group_IT_number 1
loop_
_space_group_symop_operation_xyz
'x,y,z'
loop_
_atom_site_label
_atom_site_type_symbol
_atom_site_fract_x
_atom_site_fract_y
_atom_site_fract_z
Pr1 Pr 0.602 0.696 0.644
Pr2 Pr 0.903 0.793 0.370
Pr3 Pr 0.696 0.398 0.356
Se1 Se 0.500 0.000 0.686
Se2 Se 0.684 0.867 0.501
Pr4 Pr 0.304 0.602 0.356
Pr5 Pr 0.207 0.903 0.630
Se3 Se 0.500 0.000 0.186
Se4 Se 0.799 0.098 0.321
Se5 Se 0.280 0.076 0.000
Se6 Se 0.198 0.899 0.813
Se7 Se 0.076 0.720 0.000
Se8 Se 0.316 0.133 0.501
Se9 Se 0.000 0.500 0.314
Pr6 Pr 0.102 0.196 0.856
Se10 Se 0.500 0.500 0.000
Pr7 Pr 0.804 0.102 0.144
Se11 Se 0.424 0.780 0.500
Pr8 Pr 0.707 0.403 0.870
Pr9 Pr 0.793 0.097 0.630
Pr10 Pr 0.196 0.898 0.144
Se12 Se 0.302 0.601 0.687
Pr11 Pr 0.500 0.000 0.867
Se13 Se 0.184 0.367 0.999
Se14 Se 0.899 0.802 0.187
Pr12 Pr 0.898 0.804 0.856
Pr13 Pr 0.000 0.500 0.133
Se15 Se 0.000 0.000 0.500
Se16 Se 0.201 0.902 0.321
Se17 Se 0.924 0.280 0.000
Se18 Se 0.367 0.816 0.001
Se19 Se 0.101 0.198 0.187
Se20 Se 0.780 0.576 0.500
Se21 Se 0.000 0.500 0.814
Pr14 Pr 0.403 0.293 0.130
Se22 Se 0.720 0.924 0.000
Se23 Se 0.402 0.299 0.821
Se24 Se 0.220 0.424 0.500
Pr15 Pr 0.097 0.207 0.370
Se25 Se 0.133 0.684 0.499
Se26 Se 0.902 0.799 0.679
Pr16 Pr 0.293 0.597 0.870
Pr17 Pr 0.000 0.500 0.633
Se27 Se 0.399 0.302 0.313
Se28 Se 0.802 0.101 0.813
Se29 Se 0.299 0.598 0.179
Pr18 Pr 0.398 0.304 0.644
Pr19 Pr 0.500 0.000 0.367
Pr20 Pr 0.597 0.707 0.130
Se30 Se 0.867 0.316 0.499
Se31 Se 0.816 0.633 0.999
Se32 Se 0.598 0.701 0.821
Se33 Se 0.576 0.220 0.500
Se34 Se 0.098 0.201 0.679
Se35 Se 0.601 0.698 0.313
Se36 Se 0.633 0.184 0.001
Se37 Se 0.698 0.399 0.687
Se38 Se 0.701 0.402 0.179
```

11.
DFT (PBE) results for a geometry-optimized SrPr2Se4 structure.

Computed properties:
Volume in Å³/atom: 26.973
ΔE_f in eV/atom: -2.212
Total energy after the MP2020 corrections in eV for the cell shown: -81.4

Cell and atoms, written as CIF:
```
data_SrPr2Se4
_chemical_formula_sum 'Sr2 Pr4 Se8'
_cell_length_a 7.887
_cell_length_b 7.887
_cell_length_c 7.887
_cell_angle_alpha 109.45
_cell_angle_beta 109.45
_cell_angle_gamma 109.52
_space_group_name_H-M_alt 'P 1'
_space_group_IT_number 1
loop_
_space_group_symop_operation_xyz
'x,y,z'
loop_
_atom_site_label
_atom_site_type_symbol
_atom_site_fract_x
_atom_site_fract_y
_atom_site_fract_z
Se1 Se 0.882 0.633 0.903
Pr1 Pr 0.252 0.875 0.877
Sr1 Sr 0.750 0.250 0.500
Sr2 Sr 0.500 0.500 0.000
Se2 Se 0.883 0.632 0.403
Pr2 Pr 0.625 0.748 0.623
Se3 Se 0.229 0.480 0.597
Se4 Se 0.021 0.118 0.751
Pr3 Pr 0.998 0.375 0.123
Se5 Se 0.367 0.270 0.249
Se6 Se 0.368 0.771 0.251
Se7 Se 0.520 0.117 0.749
Se8 Se 0.730 0.979 0.097
Pr4 Pr 0.125 0.002 0.377
```

12.
DFT (PBE) results for a geometry-optimized Pr2USe4 structure.

Computed properties:
Volume in Å³/atom: 25.176
ΔE_f in eV/atom: -1.852
Total energy after the MP2020 corrections in eV for the cell shown: -95.6

Cell and atoms, written as CIF:
```
data_Pr2USe4
_chemical_formula_sum 'Pr4 U2 Se8'
_cell_length_a 7.708
_cell_length_b 7.708
_cell_length_c 7.708
_cell_angle_alpha 109.34
_cell_angle_beta 109.34
_cell_angle_gamma 109.74
_space_group_name_H-M_alt 'P 1'
_space_group_IT_number 1
loop_
_space_group_symop_operation_xyz
'x,y,z'
loop_
_atom_site_label
_atom_site_type_symbol
_atom_site_fract_x
_atom_site_fract_y
_atom_site_fract_z
Se1 Se 0.881 0.780 0.251
Se2 Se 0.721 0.970 0.601
Pr1 Pr 0.125 0.249 0.624
Se3 Se 0.369 0.120 0.399
Pr2 Pr 0.751 0.375 0.876
Pr3 Pr 0.499 0.875 0.124
Se4 Se 0.370 0.119 0.899
Se5 Se 0.030 0.631 0.751
Se6 Se 0.529 0.630 0.749
Se7 Se 0.220 0.471 0.101
Pr4 Pr 0.625 0.501 0.376
Se8 Se 0.880 0.279 0.249
U1 U 0.250 0.750 0.500
U2 U 0.000 0.000 0.000
```